Compound: MgMn6O10F2
Source: the Materials Project
Functional: PBE with a Hubbard U
Structure: optimized geometry

```
MgMn6O10F2
1.0
5.077 0.000 0.000
0.000 2.924 0.000
-1.753 0.000 14.493
Mg Mn O F
1 6 10 2
direct
0.000 0.000 0.000
0.000 0.500 0.500
0.008 0.500 0.806
0.475 0.000 0.354
0.500 0.000 0.000
0.525 0.000 0.646
0.992 0.500 0.194
0.171 0.000 0.881
0.185 0.000 0.567
0.196 0.000 0.252
0.284 0.500 0.044
0.322 0.500 0.411
0.678 0.500 0.589
0.716 0.500 0.956
0.804 0.000 0.748
0.815 0.000 0.433
0.829 0.000 0.119
0.348 0.500 0.717
0.652 0.500 0.283
```

Properties
- E above lowest polymorph: 49 meV/atom
- Energy of formation: -39.6 eV/f.u.
- Size of the total moment: 1.156 μB/atom


Compound: Li2CrCSO7
Source: the Materials Project
Functional: PBE with a Hubbard U
Structure: optimized geometry

```
Li2CrCSO7
1.0
-0.366 -4.540 -4.561
-3.503 -6.692 6.944
-8.556 2.265 -1.568
O C Li S Cr
28 4 8 4 4
direct
0.250 0.034 0.856
0.250 0.534 0.856
0.750 0.374 0.920
0.250 0.251 0.866
0.250 0.207 0.424
0.066 0.906 0.341
0.750 0.293 0.576
0.750 0.875 0.920
0.250 0.625 0.080
0.067 0.406 0.341
0.567 0.094 0.659
0.750 0.107 0.419
0.250 0.893 0.581
0.250 0.707 0.424
0.250 0.126 0.080
0.934 0.594 0.659
0.434 0.406 0.341
0.567 0.594 0.659
0.750 0.749 0.134
0.750 0.249 0.134
0.433 0.906 0.341
0.250 0.751 0.866
0.750 0.466 0.144
0.250 0.393 0.581
0.750 0.607 0.419
0.750 0.793 0.576
0.933 0.094 0.659
0.750 0.966 0.144
0.750 0.861 0.062
0.750 0.361 0.062
0.250 0.639 0.938
0.250 0.139 0.938
0.025 0.892 0.819
0.525 0.108 0.181
0.975 0.608 0.181
0.525 0.608 0.181
0.475 0.892 0.819
0.025 0.392 0.819
0.975 0.108 0.181
0.475 0.392 0.819
0.750 0.647 0.576
0.250 0.853 0.424
0.750 0.147 0.576
0.250 0.353 0.424
0.250 0.119 0.640
0.750 0.881 0.360
0.250 0.619 0.639
0.750 0.381 0.361
```

Properties
- Energy of formation: -25.0 eV/f.u.
- Size of the total moment: 0.000 μB/atom


Compound: LiCaNiF6
Source: the Materials Project
Functional: PBE with a Hubbard U
Structure: optimized geometry

```
LiCaNiF6
1.0
5.148 0.000 0.000
-2.574 4.458 0.000
0.000 0.000 9.870
Li Ca Ni F
2 2 2 12
direct
0.333 0.667 0.250
0.667 0.333 0.750
0.000 0.000 0.000
0.000 0.000 0.500
0.333 0.667 0.750
0.667 0.333 0.250
0.019 0.367 0.640
0.019 0.652 0.860
0.348 0.367 0.860
0.348 0.981 0.640
0.367 0.019 0.140
0.367 0.348 0.360
0.633 0.652 0.640
0.633 0.981 0.860
0.652 0.019 0.360
0.652 0.633 0.140
0.981 0.348 0.140
0.981 0.633 0.360
```

Properties
- Energy of formation: -26.9 eV/f.u.
- Size of the total moment: 0.333 μB/atom


Compound: NaMnO2
Source: the Materials Project
Functional: PBE with a Hubbard U
Structure: optimized geometry

```
NaMnO2
1.0
3.216 0.000 0.000
-0.572 5.184 0.000
-1.317 -2.589 10.930
Na Mn O
4 4 8
direct
0.000 0.000 0.000
0.152 0.953 0.500
0.498 0.500 0.000
0.651 0.453 0.500
0.075 0.476 0.250
0.326 0.727 0.750
0.575 0.976 0.250
0.826 0.227 0.750
0.063 0.215 0.352
0.087 0.737 0.148
0.211 0.365 0.648
0.440 0.089 0.852
0.561 0.715 0.352
0.588 0.236 0.148
0.712 0.865 0.648
0.939 0.589 0.852
```

Properties
- E above lowest polymorph: 14 meV/atom
- Energy of formation: -8.1 eV/f.u.


Compound: NaMgVO3
Source: the Materials Project
Functional: PBE with a Hubbard U
Structure: optimized geometry

```
NaMgVO3
1.0
3.802 0.000 0.000
0.000 3.802 0.000
0.000 0.000 6.177
Na Mg V O
1 1 1 3
direct
0.000 0.000 0.000
0.000 0.000 0.504
0.500 0.500 0.292
0.000 0.500 0.404
0.500 0.000 0.404
0.500 0.500 0.005
```

Properties
- E above lowest polymorph: 0 meV/atom
- Energy of formation: -12.5 eV/f.u.
- Size of the total moment: 0.325 μB/atom


Compound: MgV4O6
Source: the Materials Project
Functional: PBE with a Hubbard U
Structure: optimized geometry

```
MgV4O6
1.0
1.468 -5.061 0.000
1.468 5.061 0.000
0.000 0.000 15.702
Mg V O
2 8 12
direct
0.151 0.849 0.750
0.849 0.151 0.250
0.102 0.898 0.139
0.102 0.898 0.361
0.365 0.635 0.047
0.365 0.635 0.453
0.635 0.365 0.547
0.635 0.365 0.953
0.898 0.102 0.639
0.898 0.102 0.861
0.000 0.000 0.000
0.000 0.000 0.500
0.209 0.791 0.250
0.277 0.723 0.579
0.277 0.723 0.921
0.463 0.537 0.163
0.463 0.537 0.337
0.537 0.463 0.663
0.537 0.463 0.837
0.723 0.277 0.079
0.723 0.277 0.421
0.791 0.209 0.750
```

Properties
- Energy of formation: -26.1 eV/f.u.
- Size of the total moment: 0.909 μB/atom


Compound: Li20Co21O40
Source: the Materials Project
Functional: PBE with a Hubbard U
Structure: optimized geometry

```
Li20Co21O40
1.0
8.155 0.000 0.000
4.070 9.099 0.000
4.074 -0.014 9.153
Li Co O
20 21 40
direct
0.000 0.000 0.000
0.003 0.052 0.528
0.007 0.553 0.519
0.124 0.138 0.278
0.213 0.259 0.423
0.216 0.744 0.916
0.268 0.273 0.869
0.311 0.357 0.611
0.400 0.454 0.326
0.414 0.461 0.818
0.419 0.949 0.321
0.501 0.557 0.016
0.606 0.662 0.224
0.611 0.654 0.717
0.622 0.149 0.712
0.711 0.752 0.420
0.729 0.408 0.139
0.801 0.850 0.126
0.808 0.852 0.618
0.903 0.953 0.813
0.009 0.557 0.016
0.034 0.203 0.070
0.108 0.656 0.719
0.110 0.153 0.718
0.110 0.652 0.219
0.209 0.752 0.420
0.309 0.852 0.120
0.310 0.853 0.618
0.311 0.354 0.117
0.410 0.952 0.817
0.506 0.554 0.523
0.509 0.054 0.018
0.511 0.053 0.519
0.607 0.154 0.220
0.707 0.254 0.425
0.708 0.755 0.919
0.709 0.254 0.918
0.806 0.355 0.623
0.907 0.455 0.323
0.909 0.456 0.819
0.911 0.951 0.322
0.043 0.350 0.635
0.066 0.848 0.133
0.072 0.366 0.108
0.078 0.841 0.615
0.140 0.469 0.820
0.160 0.937 0.316
0.167 0.457 0.303
0.176 0.956 0.803
0.244 0.551 0.030
0.257 0.568 0.526
0.266 0.049 0.532
0.281 0.037 0.012
0.341 0.667 0.224
0.349 0.660 0.708
0.358 0.140 0.714
0.363 0.158 0.202
0.443 0.749 0.433
0.461 0.766 0.923
0.470 0.249 0.929
0.473 0.244 0.427
0.539 0.866 0.624
0.551 0.859 0.106
0.553 0.352 0.107
0.571 0.358 0.611
0.643 0.949 0.830
0.648 0.451 0.338
0.666 0.956 0.330
0.678 0.442 0.818
0.744 0.061 0.012
0.744 0.546 0.531
0.754 0.056 0.508
0.774 0.561 0.005
0.858 0.147 0.239
0.863 0.165 0.725
0.865 0.650 0.733
0.879 0.649 0.207
0.938 0.259 0.437
0.954 0.258 0.904
0.956 0.743 0.914
0.976 0.756 0.407
```

Properties
- E above lowest polymorph: 0 meV/atom
- Energy of formation: -137.2 eV/f.u.
- Size of the total moment: 0.111 μB/atom


Compound: Ba2V2O5
Source: the Materials Project
Functional: PBE with a Hubbard U
Structure: optimized geometry

```
Ba2V2O5
1.0
4.031 0.000 0.000
-0.009 8.099 0.000
-0.002 -4.037 8.305
Ba V O
4 4 10
direct
0.000 0.000 0.000
0.002 0.498 0.998
0.004 0.249 0.500
0.997 0.748 0.500
0.488 0.868 0.239
0.491 0.630 0.761
0.512 0.368 0.238
0.513 0.129 0.759
0.007 0.611 0.727
0.008 0.884 0.271
0.494 0.248 0.999
0.498 0.863 0.730
0.499 0.633 0.268
0.500 0.133 0.267
0.501 0.362 0.729
0.506 0.748 0.998
0.992 0.112 0.727
0.992 0.384 0.270
```

Properties
- Energy of formation: -24.1 eV/f.u.
- Size of the total moment: 0.000 μB/atom


Compound: VCd2PO7
Source: the Materials Project
Functional: PBE with a Hubbard U
Structure: optimized geometry

```
VCd2PO7
1.0
4.850 0.000 0.000
0.000 11.013 0.000
-0.747 0.000 5.706
V Cd P O
2 4 2 14
direct
0.141 0.000 0.103
0.859 0.500 0.897
0.388 0.546 0.346
0.391 0.741 0.840
0.609 0.241 0.160
0.612 0.046 0.654
0.149 0.281 0.596
0.851 0.781 0.404
0.014 0.384 0.738
0.091 0.696 0.504
0.117 0.598 0.011
0.280 0.345 0.397
0.296 0.937 0.876
0.368 0.216 0.773
0.393 0.075 0.287
0.607 0.575 0.713
0.632 0.716 0.227
0.704 0.437 0.124
0.720 0.845 0.603
0.883 0.098 0.989
0.909 0.196 0.496
0.986 0.884 0.262
```

Properties
- Energy of formation: -24.5 eV/f.u.
- Size of the total moment: 0.000 μB/atom


Compound: CsVSO6
Source: the Materials Project
Functional: PBE with a Hubbard U
Structure: optimized geometry

```
CsVSO6
1.0
6.662 0.000 0.000
0.000 10.742 0.000
0.000 0.000 17.970
Cs V S O
8 8 8 48
direct
0.249 0.023 0.088
0.249 0.477 0.588
0.251 0.523 0.088
0.251 0.977 0.588
0.749 0.023 0.412
0.749 0.477 0.912
0.751 0.523 0.412
0.751 0.977 0.912
0.006 0.224 0.752
0.006 0.276 0.252
0.494 0.724 0.752
0.494 0.776 0.252
0.506 0.224 0.748
0.506 0.276 0.248
0.994 0.724 0.748
0.994 0.776 0.248
0.238 0.720 0.902
0.238 0.780 0.402
0.262 0.220 0.902
0.262 0.280 0.402
0.738 0.720 0.598
0.738 0.780 0.098
0.762 0.220 0.598
0.762 0.280 0.098
0.003 0.073 0.754
0.003 0.427 0.254
0.054 0.745 0.355
0.054 0.755 0.855
0.077 0.238 0.357
0.077 0.262 0.857
0.230 0.706 0.470
0.230 0.794 0.970
0.242 0.717 0.228
0.242 0.783 0.728
0.243 0.586 0.913
0.243 0.914 0.413
0.257 0.086 0.913
0.257 0.414 0.413
0.258 0.217 0.228
0.258 0.283 0.728
0.270 0.206 0.470
0.270 0.294 0.970
0.423 0.738 0.357
0.423 0.762 0.857
0.446 0.245 0.355
0.446 0.255 0.855
0.497 0.573 0.754
0.497 0.927 0.254
0.503 0.073 0.746
0.503 0.427 0.246
0.554 0.745 0.145
0.554 0.755 0.645
0.577 0.238 0.143
0.577 0.262 0.643
0.730 0.706 0.030
0.730 0.794 0.530
0.742 0.717 0.272
0.742 0.783 0.772
0.743 0.586 0.587
0.743 0.914 0.087
0.757 0.086 0.587
0.757 0.414 0.087
0.758 0.217 0.272
0.758 0.283 0.772
0.770 0.206 0.030
0.770 0.294 0.530
0.923 0.738 0.143
0.923 0.762 0.643
0.946 0.245 0.145
0.946 0.255 0.645
0.997 0.573 0.746
0.997 0.927 0.246
```

Properties
- E above lowest polymorph: 1 meV/atom
- Energy of formation: -19.9 eV/f.u.
- Size of the total moment: 0.000 μB/atom


Compound: YCr3O9
Source: the Materials Project
Functional: PBE with a Hubbard U
Structure: optimized geometry

```
YCr3O9
1.0
3.685 0.000 0.000
0.000 3.685 0.000
0.000 0.000 11.521
Y Cr O
1 3 9
direct
0.000 0.000 0.000
0.500 0.500 0.184
0.500 0.500 0.500
0.500 0.500 0.816
0.000 0.500 0.147
0.000 0.500 0.500
0.000 0.500 0.853
0.500 0.000 0.147
0.500 0.000 0.500
0.500 0.000 0.853
0.500 0.500 0.000
0.500 0.500 0.328
0.500 0.500 0.672
```

Properties
- E above lowest polymorph: 147 meV/atom
- Energy of formation: -26.2 eV/f.u.
- Size of the total moment: 0.238 μB/atom